Entry 1:
Mn6O7F5 PBE with a Hubbard U optimized geometry; distance to the lowest polymorph of the same formula = 39 meV/atom; density = 4.5 g/cm3; energy of formation from the pure elements = -212.57 kJ per mole of atoms
1.0
4.5717 0.0000 0.0000
-0.0380 5.6399 0.0000
-0.0831 -0.0321 15.3305
O Mn F
14 12 10
direct
0.7183 0.6086 0.4778
0.7820 0.8915 0.6335
0.7693 0.1074 0.8022
0.7187 0.6006 0.8169
0.7214 0.6031 0.1474
0.7808 0.8867 0.3002
0.7780 0.8843 0.9709
0.2787 0.3819 0.5290
0.7668 0.1137 0.4672
0.2805 0.6176 0.6944
0.7679 0.1150 0.1357
0.2723 0.6138 0.3620
0.2757 0.3839 0.1972
0.2734 0.6174 0.0303
0.9692 0.1398 0.9125
0.9801 0.8343 0.7431
0.5111 0.3615 0.7531
0.9897 0.1547 0.2435
0.9775 0.8401 0.4096
0.5016 0.6581 0.9219
0.9972 0.1501 0.5747
0.4947 0.3665 0.0941
0.5000 0.6514 0.2546
0.5024 0.6534 0.5856
0.9825 0.8397 0.0806
0.4977 0.3652 0.4260
0.7406 0.3812 0.3194
0.2286 0.8793 0.5157
0.2340 0.8831 0.1843
0.2459 0.1282 0.3566
0.2411 0.1298 0.0230
0.2521 0.1278 0.6884
0.2308 0.8774 0.8518
0.7290 0.3807 0.9852
0.2464 0.3814 0.8694
0.7639 0.3906 0.6421

---

Entry 2:
Mn8O13F3 PBE with a Hubbard U optimized geometry; distance to the lowest polymorph of the same formula = 23 meV/atom; density = 4.7 g/cm3; energy of formation from the pure elements = -188.31 kJ per mole of atoms
1.0
-0.2145 -4.8291 1.2985
4.7456 -0.9644 -2.6839
4.7223 1.7224 7.4864
F Mn O
3 8 13
direct
0.9338 0.8963 0.8866
0.5675 0.3608 0.6249
0.9178 0.3727 0.3741
0.2476 0.8508 0.4993
0.7494 0.1709 0.0052
0.2629 0.3559 0.2473
0.2652 0.8602 0.0055
0.7462 0.6526 0.7464
0.7471 0.6650 0.2475
0.7469 0.1164 0.4994
0.2333 0.3538 0.7554
0.5697 0.8810 0.6132
0.5857 0.8971 0.1112
0.9249 0.8856 0.3853
0.0850 0.1191 0.1166
0.4244 0.1054 0.3832
0.9122 0.3931 0.8638
0.5882 0.3977 0.1375
0.4248 0.1173 0.8848
0.0681 0.1014 0.6165
0.0750 0.6051 0.6292
0.4161 0.6134 0.8624
0.4243 0.6108 0.3677
0.0837 0.6174 0.1369

---

Number 1: corrected total energy (MP2020 scheme) -7.713 eV/atom. Number 2: corrected total energy (MP2020 scheme) -7.925 eV/atom.